[1]
{"formula": "Li4MnCo2O7", "functional": "GGA+U", "state": "relaxed", "relative_energy_ev_per_fu": 1.33, "corrected_energy_ev_per_atom": -6.48, "final_energy_ev_per_cell": -161.87, "e_form_mev_per_atom": -1789, "cell": [[4.977, -7.586, -11.738], [5.884, -9.489, -9.769], [-4.936, -3.207, -0.827]], "species": ["Li", "Li", "Li", "Li", "Li", "Li", "Li", "Li", "O", "O", "O", "O", "O", "O", "O", "O", "O", "O", "O", "O", "O", "O", "Co", "Co", "Co", "Co", "Mn", "Mn"], "frac_coords": [[0.786, 0.786, 0.353], [0.500, 0.500, 0.500], [0.500, 0.500, 0.000], [0.360, 0.360, 0.073], [0.067, 0.067, 0.209], [0.933, 0.933, 0.791], [0.640, 0.640, 0.927], [0.214, 0.214, 0.647], [0.427, 0.427, 0.056], [0.290, 0.290, 0.617], [0.855, 0.855, 0.352], [0.422, 0.422, 0.517], [0.143, 0.143, 0.209], [0.857, 0.857, 0.791], [0.003, 0.003, 0.742], [0.285, 0.285, 0.100], [0.710, 0.710, 0.383], [0.573, 0.573, 0.944], [0.715, 0.715, 0.900], [0.997, 0.997, 0.258], [0.578, 0.578, 0.483], [0.145, 0.145, 0.648], [0.064, 0.064, 0.730], [0.215, 0.215, 0.138], [0.936, 0.936, 0.270], [0.785, 0.785, 0.862], [0.643, 0.643, 0.433], [0.357, 0.357, 0.567]]}

---

[2]
{"formula": "Li3MnCoO5", "functional": "GGA+U", "state": "relaxed", "relative_energy_ev_per_fu": 0.03, "corrected_energy_ev_per_atom": -6.63, "final_energy_ev_per_cell": -119.12, "e_form_mev_per_atom": -1957, "cell": [[5.091, 0.000, 0.000], [-1.745, 5.599, 0.000], [-0.931, -1.961, 6.272]], "species": ["O", "O", "O", "O", "O", "O", "O", "O", "O", "O", "Li", "Li", "Li", "Li", "Li", "Li", "Mn", "Mn", "Co", "Co"], "frac_coords": [[0.891, 0.029, 0.796], [0.102, 0.423, 0.195], [0.513, 0.760, 0.976], [0.677, 0.154, 0.383], [0.109, 0.971, 0.204], [0.487, 0.240, 0.024], [0.898, 0.577, 0.805], [0.326, 0.366, 0.588], [0.323, 0.846, 0.617], [0.674, 0.634, 0.412], [0.000, 0.500, 0.500], [0.390, 0.800, 0.310], [0.000, 0.000, 0.500], [0.808, 0.601, 0.103], [0.192, 0.399, 0.897], [0.610, 0.200, 0.690], [0.401, 0.299, 0.305], [0.599, 0.701, 0.695], [0.804, 0.110, 0.111], [0.196, 0.890, 0.889]]}

---

[3]
{"formula": "Li7Mn2Co3O12", "functional": "GGA+U", "state": "relaxed", "relative_energy_ev_per_fu": 0.98, "corrected_energy_ev_per_atom": -6.58, "final_energy_ev_per_cell": -141.31, "e_form_mev_per_atom": -1893, "cell": [[1.208, -5.453, 1.771], [2.649, 1.952, 4.906], [-6.270, 0.751, 1.256]], "species": ["O", "O", "O", "O", "O", "O", "O", "O", "O", "O", "O", "O", "Li", "Li", "Li", "Li", "Li", "Li", "Li", "Mn", "Mn", "Co", "Co", "Co"], "frac_coords": [[0.539, 0.069, 0.324], [0.086, 0.063, 0.326], [0.422, 0.897, 0.644], [0.117, 0.590, 0.319], [0.780, 0.265, 0.012], [0.905, 0.905, 0.687], [0.431, 0.427, 0.640], [0.247, 0.268, 0.011], [0.232, 0.743, 0.017], [0.913, 0.432, 0.682], [0.582, 0.610, 0.350], [0.751, 0.724, 0.987], [0.828, 0.842, 0.350], [0.830, 0.335, 0.346], [0.666, 0.167, 0.665], [0.505, 0.495, 0.994], [0.499, 0.000, 0.991], [0.166, 0.665, 0.661], [0.165, 0.164, 0.659], [0.993, 0.998, 0.001], [0.996, 0.496, 0.995], [0.339, 0.838, 0.340], [0.342, 0.336, 0.334], [0.665, 0.667, 0.665]]}

---

[4]
{"formula": "Li4MnCo2O7", "functional": "GGA+U", "state": "relaxed", "relative_energy_ev_per_fu": 1.03, "corrected_energy_ev_per_atom": -6.50, "final_energy_ev_per_cell": -162.49, "e_form_mev_per_atom": -1811, "cell": [[-2.902, -0.728, 0.427], [-0.820, -5.138, -3.777], [2.975, -9.367, 9.415]], "species": ["O", "O", "O", "O", "O", "O", "O", "O", "O", "O", "O", "O", "O", "O", "Li", "Li", "Li", "Li", "Li", "Li", "Li", "Li", "Co", "Co", "Co", "Co", "Mn", "Mn"], "frac_coords": [[0.229, 0.916, 0.677], [0.481, 0.238, 0.745], [0.326, 0.819, 0.456], [0.035, 0.950, 0.891], [0.965, 0.050, 0.109], [0.753, 0.621, 0.826], [0.657, 0.663, 0.033], [0.940, 0.507, 0.613], [0.060, 0.493, 0.387], [0.674, 0.181, 0.544], [0.771, 0.084, 0.323], [0.343, 0.337, 0.967], [0.519, 0.762, 0.255], [0.247, 0.379, 0.174], [0.797, 0.854, 0.568], [0.370, 0.560, 0.713], [0.630, 0.440, 0.287], [0.071, 0.711, 0.144], [0.929, 0.289, 0.856], [0.500, 0.500, 0.500], [0.500, 0.000, 0.000], [0.203, 0.146, 0.432], [0.792, 0.358, 0.071], [0.080, 0.226, 0.635], [0.920, 0.774, 0.365], [0.208, 0.642, 0.929], [0.367, 0.070, 0.216], [0.633, 0.930, 0.784]]}

---

[5]
{"formula": "Li4Mn3CoO8", "functional": "GGA+U", "state": "relaxed", "relative_energy_ev_per_fu": 0.15, "corrected_energy_ev_per_atom": -7.13, "final_energy_ev_per_cell": -203.95, "e_form_mev_per_atom": -2019, "cell": [[2.553, 0.010, -1.308], [0.854, 19.514, -1.614], [2.511, 0.070, 4.824]], "species": ["O", "O", "O", "O", "O", "O", "O", "O", "O", "O", "O", "O", "O", "O", "O", "O", "Mn", "Mn", "Mn", "Mn", "Mn", "Mn", "Li", "Li", "Li", "Li", "Li", "Li", "Li", "Li", "Co", "Co"], "frac_coords": [[0.415, 0.190, 0.494], [0.283, 0.442, 0.113], [0.851, 0.306, 0.267], [0.084, 0.810, 0.009], [0.218, 0.558, 0.387], [0.350, 0.307, 0.767], [0.650, 0.693, 0.233], [0.508, 0.057, 0.156], [0.150, 0.693, 0.733], [0.968, 0.053, 0.652], [0.586, 0.810, 0.506], [0.782, 0.442, 0.612], [0.491, 0.943, 0.844], [0.717, 0.558, 0.887], [0.032, 0.947, 0.348], [0.917, 0.190, 0.991], [0.249, 0.500, 0.750], [0.118, 0.751, 0.370], [0.617, 0.752, 0.871], [0.751, 0.500, 0.250], [0.384, 0.248, 0.129], [0.882, 0.249, 0.630], [0.185, 0.626, 0.060], [0.449, 0.123, 0.816], [0.685, 0.626, 0.560], [0.551, 0.877, 0.184], [0.957, 0.122, 0.316], [0.315, 0.374, 0.440], [0.815, 0.374, 0.940], [0.043, 0.878, 0.684], [0.500, 0.000, 0.500], [0.000, 0.000, 0.000]]}

---

[6]
{"formula": "Li4MnCo3O8", "functional": "GGA+U", "state": "relaxed", "relative_energy_ev_per_fu": 0.59, "corrected_energy_ev_per_atom": -6.62, "final_energy_ev_per_cell": -93.77, "e_form_mev_per_atom": -1759, "cell": [[2.952, 0.000, 0.000], [-1.230, 4.941, 0.000], [-0.435, -1.762, 10.134]], "species": ["Li", "Li", "Li", "Li", "Co", "Co", "Co", "O", "O", "O", "O", "O", "O", "O", "O", "Mn"], "frac_coords": [[0.253, 0.503, 0.125], [0.250, 0.501, 0.626], [0.750, 0.499, 0.374], [0.747, 0.497, 0.875], [0.994, 0.994, 0.250], [0.006, 0.006, 0.750], [0.500, 0.000, 0.500], [0.615, 0.225, 0.185], [0.876, 0.773, 0.563], [0.844, 0.764, 0.066], [0.124, 0.227, 0.437], [0.621, 0.230, 0.687], [0.156, 0.236, 0.934], [0.385, 0.775, 0.815], [0.379, 0.770, 0.313], [0.500, 0.000, 0.000]]}

---

[7]
{"formula": "Li3MnCoO5", "functional": "GGA+U", "state": "relaxed", "relative_energy_ev_per_fu": 0.02, "corrected_energy_ev_per_atom": -6.63, "final_energy_ev_per_cell": -119.15, "e_form_mev_per_atom": -1958, "cell": [[-2.655, 4.274, -0.237], [-4.511, -0.718, 2.267], [1.527, 4.181, 6.288]], "species": ["Mn", "Mn", "Li", "Li", "Li", "Li", "Li", "Li", "O", "O", "O", "O", "O", "O", "O", "O", "O", "O", "Co", "Co"], "frac_coords": [[0.798, 0.003, 0.401], [0.002, 0.995, 0.996], [0.092, 0.505, 0.807], [0.600, 0.998, 0.802], [0.295, 0.502, 0.402], [0.697, 0.497, 0.607], [0.903, 0.498, 0.197], [0.511, 0.500, 0.989], [0.551, 0.780, 0.396], [0.319, 0.766, 0.812], [0.760, 0.770, 0.006], [0.873, 0.233, 0.811], [0.129, 0.775, 0.202], [0.461, 0.223, 0.581], [0.245, 0.220, 0.013], [0.674, 0.222, 0.196], [0.035, 0.230, 0.403], [0.956, 0.778, 0.582], [0.195, 0.003, 0.607], [0.404, 0.000, 0.191]]}

---

[8]
{"formula": "Li5Mn2CoO8", "functional": "GGA+U", "state": "relaxed", "relative_energy_ev_per_fu": 1.25, "corrected_energy_ev_per_atom": -6.62, "final_energy_ev_per_cell": -95.39, "e_form_mev_per_atom": -1956, "cell": [[1.460, 6.330, 0.000], [-1.460, 6.330, 0.000], [0.000, 6.212, 7.764]], "species": ["Li", "Li", "Li", "Li", "Li", "O", "O", "O", "O", "O", "O", "O", "O", "Mn", "Mn", "Co"], "frac_coords": [[0.499, 0.499, 0.497], [0.122, 0.122, 0.620], [0.876, 0.876, 0.395], [0.624, 0.624, 0.130], [0.376, 0.376, 0.863], [0.813, 0.813, 0.081], [0.551, 0.551, 0.841], [0.700, 0.700, 0.410], [0.302, 0.302, 0.575], [0.929, 0.929, 0.695], [0.078, 0.078, 0.304], [0.440, 0.440, 0.167], [0.177, 0.177, 0.933], [0.241, 0.241, 0.257], [0.003, 0.003, 0.999], [0.771, 0.771, 0.731]]}